! CrGa3P4 | the Materials Project database | PBE | optimized geometry; values from VASP
! Magnetization, μB/atom: 0.38
! Energy relative to the elements, meV/atom: -230
&SYSTEM
  ibrav = 0, nat = 8, ntyp = 3
/
ATOMIC_SPECIES
Cr 52.00 Cr.upf
Ga 69.72 Ga.upf
P 30.97 P.upf
CELL_PARAMETERS angstrom
-5.133 -0.182 1.942
1.909 -1.590 4.897
0.400 5.253 1.550
ATOMIC_POSITIONS crystal
Cr 0.000 0.000 0.000
Ga 0.000 0.500 0.500
Ga 0.500 0.000 0.500
Ga 0.500 0.500 0.000
P 0.246 0.246 0.246
P 0.754 0.754 0.246
P 0.246 0.754 0.754
P 0.754 0.246 0.754



! CrGaP2 | the Materials Project database | PBE | optimized geometry; values from VASP
! Magnetization, μB/atom: 0.75
! Energy relative to the elements, meV/atom: -89
&SYSTEM
  ibrav = 0, nat = 4, ntyp = 3
/
ATOMIC_SPECIES
Cr 52.00 Cr.upf
Ga 69.72 Ga.upf
P 30.97 P.upf
CELL_PARAMETERS angstrom
3.860 0.000 0.000
0.000 3.860 0.000
0.000 0.000 5.470
ATOMIC_POSITIONS crystal
Cr 0.000 0.000 0.000
Ga 0.500 0.500 0.500
P 0.000 0.500 0.757
P 0.500 0.000 0.243



! CrGaRh2 | the Materials Project database | PBE | optimized geometry; values from VASP
! Energy relative to the elements, meV/atom: -386
&SYSTEM
  ibrav = 0, nat = 4, ntyp = 3
/
ATOMIC_SPECIES
Cr 52.00 Cr.upf
Ga 69.72 Ga.upf
Rh 102.91 Rh.upf
CELL_PARAMETERS angstrom
0.000 3.037 3.037
3.037 0.000 3.037
3.037 3.037 0.000
ATOMIC_POSITIONS crystal
Cr 0.500 0.500 0.500
Ga 0.000 0.000 0.000
Rh 0.250 0.250 0.250
Rh 0.750 0.750 0.750



! Cr3GaS6 | the Materials Project database | PBE | optimized geometry; values from VASP
! ΔE to the lowest computed polymorph, meV/atom: 0.0
! Energy relative to the elements, meV/atom: -997
&SYSTEM
  ibrav = 0, nat = 40, ntyp = 3
/
ATOMIC_SPECIES
Cr 52.00 Cr.upf
Ga 69.72 Ga.upf
S 32.06 S.upf
CELL_PARAMETERS angstrom
-6.752 -1.632 1.320
2.952 -1.868 -6.147
5.000 -15.045 6.973
ATOMIC_POSITIONS crystal
Cr 0.170 0.830 0.209
Cr 0.843 0.157 0.540
Cr 0.505 0.495 0.871
Cr 0.170 0.339 0.209
Cr 0.843 0.686 0.540
Cr 0.505 0.009 0.871
Cr 0.333 0.667 0.041
Cr 0.000 0.000 0.383
Cr 0.667 0.333 0.714
Cr 0.661 0.830 0.209
Cr 0.314 0.157 0.540
Cr 0.991 0.495 0.871
Ga 0.000 0.000 0.000
Ga 0.667 0.333 0.336
Ga 0.333 0.667 0.664
Ga 0.667 0.333 0.083
S 0.180 0.820 0.955
S 0.847 0.153 0.288
S 0.513 0.487 0.622
S 0.180 0.359 0.955
S 0.847 0.693 0.288
S 0.513 0.026 0.622
S 0.333 0.667 0.801
S 0.000 0.000 0.135
S 0.667 0.333 0.469
S 0.641 0.820 0.955
S 0.307 0.153 0.288
S 0.974 0.487 0.622
S 0.820 0.180 0.796
S 0.487 0.513 0.128
S 0.154 0.846 0.461
S 0.820 0.641 0.796
S 0.487 0.973 0.128
S 0.154 0.309 0.461
S 0.667 0.333 0.949
S 0.333 0.667 0.281
S 0.000 0.000 0.616
S 0.359 0.180 0.796
S 0.027 0.513 0.128
S 0.691 0.846 0.461



! Cr3GaS6 | the Materials Project database | PBE | optimized geometry; values from VASP
! Magnetization, μB/atom: 0.78
! ΔE to the lowest computed polymorph, meV/atom: 49.6
! Energy relative to the elements, meV/atom: -947
&SYSTEM
  ibrav = 0, nat = 120, ntyp = 3
/
ATOMIC_SPECIES
Cr 52.00 Cr.upf
Ga 69.72 Ga.upf
S 32.06 S.upf
CELL_PARAMETERS angstrom
-0.430 5.864 3.883
2.477 0.033 6.596
52.444 32.618 13.906
ATOMIC_POSITIONS crystal
Cr 0.115 0.633 0.069
Cr 0.633 0.115 0.069
Cr 0.623 0.623 0.015
Cr 0.104 0.633 0.181
Cr 0.634 0.634 0.069
Cr 0.638 0.638 0.121
Cr 0.633 0.104 0.181
Cr 0.120 0.630 0.291
Cr 0.633 0.633 0.181
Cr 0.630 0.120 0.291
Cr 0.634 0.634 0.233
Cr 0.125 0.625 0.403
Cr 0.630 0.630 0.291
Cr 0.625 0.125 0.403
Cr 0.625 0.625 0.347
Cr 0.125 0.625 0.514
Cr 0.625 0.625 0.403
Cr 0.625 0.125 0.514
Cr 0.625 0.625 0.458
Cr 0.125 0.625 0.625
Cr 0.625 0.625 0.514
Cr 0.625 0.125 0.625
Cr 0.625 0.625 0.569
Cr 0.111 0.626 0.738
Cr 0.625 0.625 0.625
Cr 0.626 0.111 0.738
Cr 0.624 0.624 0.681
Cr 0.098 0.632 0.848
Cr 0.625 0.625 0.738
Cr 0.632 0.098 0.848
Cr 0.631 0.631 0.790
Cr 0.101 0.629 0.960
Cr 0.634 0.634 0.848
Cr 0.632 0.632 0.900
Cr 0.629 0.101 0.960
Cr 0.629 0.629 0.960
Ga 0.250 0.250 0.139
Ga 0.252 0.252 0.249
Ga 0.001 0.001 0.333
Ga 0.251 0.251 0.361
Ga 0.000 0.000 0.444
Ga 0.250 0.250 0.472
Ga 0.000 0.000 0.555
Ga 0.999 0.999 0.667
Ga 0.250 0.250 0.583
Ga 0.248 0.248 0.695
Ga 0.248 0.248 0.806
Ga 0.250 0.250 0.917
S 0.385 0.385 0.043
S 0.385 0.385 0.094
S 0.385 0.841 0.043
S 0.841 0.385 0.043
S 0.385 0.385 0.154
S 0.401 0.867 0.096
S 0.867 0.867 0.044
S 0.867 0.401 0.096
S 0.385 0.385 0.205
S 0.385 0.844 0.154
S 0.844 0.385 0.154
S 0.867 0.867 0.096
S 0.385 0.385 0.265
S 0.403 0.865 0.207
S 0.865 0.403 0.207
S 0.385 0.385 0.316
S 0.385 0.845 0.265
S 0.866 0.866 0.156
S 0.845 0.385 0.265
S 0.865 0.865 0.207
S 0.385 0.385 0.376
S 0.405 0.864 0.319
S 0.864 0.405 0.319
S 0.385 0.385 0.427
S 0.865 0.865 0.267
S 0.385 0.845 0.376
S 0.845 0.385 0.376
S 0.864 0.864 0.319
S 0.385 0.385 0.487
S 0.405 0.865 0.429
S 0.865 0.405 0.429
S 0.385 0.385 0.538
S 0.865 0.865 0.378
S 0.385 0.845 0.487
S 0.845 0.385 0.487
S 0.865 0.865 0.429
S 0.385 0.385 0.598
S 0.405 0.865 0.541
S 0.865 0.405 0.541
S 0.385 0.385 0.649
S 0.865 0.865 0.489
S 0.385 0.845 0.598
S 0.865 0.865 0.540
S 0.845 0.385 0.598
S 0.385 0.385 0.709
S 0.405 0.865 0.652
S 0.865 0.405 0.652
S 0.385 0.385 0.761
S 0.865 0.865 0.601
S 0.385 0.846 0.709
S 0.846 0.385 0.709
S 0.865 0.865 0.652
S 0.386 0.386 0.820
S 0.405 0.866 0.763
S 0.866 0.405 0.763
S 0.384 0.847 0.821
S 0.386 0.386 0.871
S 0.865 0.865 0.712
S 0.847 0.384 0.821
S 0.867 0.867 0.763
S 0.385 0.385 0.932
S 0.397 0.869 0.874
S 0.869 0.397 0.874
S 0.390 0.390 0.981
S 0.386 0.844 0.932
S 0.869 0.869 0.822
S 0.844 0.386 0.932
S 0.866 0.866 0.874
S 0.401 0.866 0.985
S 0.866 0.401 0.985
S 0.867 0.867 0.933
S 0.866 0.866 0.985



! CrGaSe3 | the Materials Project database | PBE | optimized geometry; values from VASP
! Energy relative to the elements, meV/atom: -862
&SYSTEM
  ibrav = 0, nat = 20, ntyp = 3
/
ATOMIC_SPECIES
Cr 52.00 Cr.upf
Ga 69.72 Ga.upf
Se 78.96 Se.upf
CELL_PARAMETERS angstrom
-0.741 2.282 2.942
-7.751 -6.274 2.915
8.004 -6.581 7.120
ATOMIC_POSITIONS crystal
Cr 0.250 0.405 0.610
Cr 0.750 0.595 0.390
Cr 0.250 0.905 0.890
Cr 0.750 0.095 0.110
Ga 0.750 0.267 0.794
Ga 0.250 0.733 0.206
Ga 0.750 0.767 0.706
Ga 0.250 0.233 0.294
Se 0.250 0.928 0.094
Se 0.750 0.072 0.906
Se 0.250 0.428 0.406
Se 0.750 0.572 0.594
Se 0.750 0.089 0.318
Se 0.250 0.911 0.682
Se 0.750 0.589 0.182
Se 0.250 0.411 0.818
Se 0.250 0.261 0.104
Se 0.750 0.739 0.896
Se 0.250 0.761 0.396
Se 0.750 0.239 0.604



! Zn3Cr12Ga2Se24 | the Materials Project database | PBE | optimized geometry; values from VASP
! Magnetization, μB/atom: 0.88
! Energy relative to the elements, meV/atom: -840
&SYSTEM
  ibrav = 0, nat = 41, ntyp = 4
/
ATOMIC_SPECIES
Zn 65.41 Zn.upf
Cr 52.00 Cr.upf
Ga 69.72 Ga.upf
Se 78.96 Se.upf
CELL_PARAMETERS angstrom
7.065 -2.339 0.909
4.082 -5.613 -15.244
2.488 6.173 -3.451
ATOMIC_POSITIONS crystal
Zn 0.958 0.584 0.208
Zn 0.292 0.916 0.542
Zn 0.375 0.750 0.125
Cr 0.168 0.164 0.155
Cr 0.501 0.497 0.497
Cr 0.833 0.833 0.833
Cr 0.168 0.164 0.680
Cr 0.501 0.497 0.006
Cr 0.833 0.833 0.333
Cr 0.494 0.003 0.999
Cr 0.820 0.336 0.332
Cr 0.167 0.667 0.667
Cr 0.003 0.003 0.999
Cr 0.345 0.336 0.332
Cr 0.667 0.667 0.667
Ga 0.043 0.414 0.793
Ga 0.707 0.086 0.457
Se 0.580 0.340 0.099
Se 0.913 0.674 0.434
Se 0.247 0.006 0.767
Se 0.580 0.340 0.561
Se 0.913 0.674 0.892
Se 0.247 0.006 0.226
Se 0.939 0.160 0.920
Se 0.274 0.494 0.253
Se 0.608 0.826 0.587
Se 0.401 0.160 0.920
Se 0.733 0.494 0.253
Se 0.066 0.826 0.587
Se 0.087 0.326 0.566
Se 0.420 0.659 0.899
Se 0.753 0.994 0.232
Se 0.087 0.326 0.108
Se 0.420 0.659 0.442
Se 0.753 0.994 0.774
Se 0.726 0.506 0.747
Se 0.058 0.841 0.080
Se 0.392 0.174 0.413
Se 0.268 0.506 0.747
Se 0.601 0.841 0.080
Se 0.934 0.174 0.413



! Zn2Cr3GaSe8 | the Materials Project database | PBE | optimized geometry; values from VASP
! Magnetization, μB/atom: 0.64
! Energy relative to the elements, meV/atom: -845
&SYSTEM
  ibrav = 0, nat = 14, ntyp = 4
/
ATOMIC_SPECIES
Zn 65.41 Zn.upf
Cr 52.00 Cr.upf
Ga 69.72 Ga.upf
Se 78.96 Se.upf
CELL_PARAMETERS angstrom
6.535 -3.766 0.000
6.535 3.766 0.000
4.365 0.000 6.152
ATOMIC_POSITIONS crystal
Zn 0.124 0.124 0.124
Zn 0.876 0.876 0.876
Cr 0.000 0.500 0.500
Cr 0.500 0.500 0.000
Cr 0.500 0.000 0.500
Ga 0.500 0.500 0.500
Se 0.260 0.260 0.260
Se 0.720 0.257 0.257
Se 0.257 0.257 0.720
Se 0.257 0.720 0.257
Se 0.740 0.740 0.740
Se 0.280 0.743 0.743
Se 0.743 0.743 0.280
Se 0.743 0.280 0.743



Number 4 is which compound? Cr3GaS6



Number 4 is which compound? Cr3GaS6